(1)
DFT (GGA-PBE) results for an optimized crystal structure of PNF2.

Lattice parameters (Å, degrees): 7.225 12.330 9.213 90.00 90.00 90.00
Positions (direct):
P 0.092 0.250 0.059
P 0.167 0.639 0.099
P 0.167 0.861 0.099
P 0.333 0.139 0.599
P 0.333 0.361 0.599
P 0.408 0.750 0.559
P 0.592 0.250 0.441
P 0.667 0.639 0.401
P 0.667 0.861 0.401
P 0.833 0.139 0.901
P 0.833 0.361 0.901
P 0.908 0.750 0.941
N 0.003 0.139 0.009
N 0.003 0.361 0.009
N 0.246 0.250 0.651
N 0.254 0.750 0.151
N 0.497 0.639 0.509
N 0.497 0.861 0.509
N 0.503 0.139 0.491
N 0.503 0.361 0.491
N 0.746 0.250 0.849
N 0.754 0.750 0.349
N 0.997 0.639 0.991
N 0.997 0.861 0.991
F 0.109 0.250 0.228
F 0.119 0.569 0.235
F 0.119 0.931 0.235
F 0.177 0.066 0.535
F 0.177 0.434 0.535
F 0.198 0.750 0.523
F 0.302 0.250 0.023
F 0.323 0.566 0.035
F 0.323 0.934 0.035
F 0.381 0.069 0.735
F 0.381 0.431 0.735
F 0.391 0.750 0.728
F 0.609 0.250 0.272
F 0.619 0.569 0.265
F 0.619 0.931 0.265
F 0.677 0.066 0.965
F 0.677 0.434 0.965
F 0.698 0.750 0.977
F 0.802 0.250 0.477
F 0.823 0.566 0.465
F 0.823 0.934 0.465
F 0.881 0.069 0.765
F 0.881 0.431 0.765
F 0.891 0.750 0.772

Values from the calculation:
spin magnetization	0.000	Bohr magnetons per cell
formation energy from the elements	-1957	meV per atom
calculated volume	821	Å³ per cell
calculated density	2.01	g cm⁻³
crystal system	orthorhombic
ΔE to the lowest computed polymorph	10	meV per atom


(2)
DFT (GGA-PBE) results for an optimized crystal structure of PNF2.

Lattice parameters (Å, degrees): 7.520 9.043 13.738 90.00 90.00 90.00
Positions (direct):
P 0.024 0.022 0.000
P 0.159 0.460 0.590
P 0.184 0.450 0.391
P 0.316 0.950 0.891
P 0.341 0.960 0.090
P 0.476 0.522 0.500
P 0.524 0.478 0.000
P 0.659 0.040 0.590
P 0.684 0.050 0.391
P 0.816 0.550 0.891
P 0.841 0.540 0.090
P 0.976 0.978 0.500
N 0.072 0.428 0.487
N 0.111 0.988 0.898
N 0.139 0.008 0.096
N 0.361 0.508 0.596
N 0.389 0.488 0.398
N 0.428 0.928 0.987
N 0.572 0.072 0.487
N 0.611 0.512 0.898
N 0.639 0.492 0.096
N 0.861 0.992 0.596
N 0.889 0.012 0.398
N 0.928 0.572 0.987
F 0.044 0.576 0.646
F 0.065 0.822 0.497
F 0.090 0.567 0.325
F 0.127 0.325 0.658
F 0.149 0.071 0.511
F 0.158 0.312 0.324
F 0.342 0.812 0.824
F 0.351 0.571 0.011
F 0.373 0.825 0.158
F 0.410 0.067 0.825
F 0.435 0.322 0.997
F 0.456 0.076 0.146
F 0.544 0.924 0.646
F 0.565 0.678 0.497
F 0.590 0.933 0.325
F 0.627 0.175 0.658
F 0.649 0.429 0.511
F 0.658 0.188 0.324
F 0.842 0.688 0.824
F 0.851 0.929 0.011
F 0.873 0.675 0.158
F 0.910 0.433 0.825
F 0.935 0.178 0.997
F 0.956 0.424 0.146

Values from the calculation:
spin magnetization	0.000	Bohr magnetons per cell
formation energy from the elements	-1952	meV per atom
calculated volume	934	Å³ per cell
calculated density	1.77	g cm⁻³
crystal system	orthorhombic
ΔE to the lowest computed polymorph	15	meV per atom


(3)
DFT (GGA-PBE) results for an optimized crystal structure of PNF2.

Lattice parameters (Å, degrees): 5.097 15.561 16.265 90.00 98.29 90.00
Positions (direct):
P 0.008 0.153 0.472
P 0.008 0.347 0.972
P 0.185 0.163 0.991
P 0.185 0.337 0.491
P 0.308 0.091 0.158
P 0.308 0.409 0.658
P 0.333 0.109 0.630
P 0.333 0.391 0.130
P 0.411 0.743 0.278
P 0.411 0.757 0.778
P 0.589 0.243 0.222
P 0.589 0.257 0.722
P 0.667 0.609 0.870
P 0.667 0.891 0.370
P 0.692 0.591 0.342
P 0.692 0.909 0.842
P 0.815 0.663 0.509
P 0.815 0.837 0.009
P 0.992 0.653 0.028
P 0.992 0.847 0.528
N 0.071 0.249 0.459
N 0.071 0.251 0.959
N 0.130 0.100 0.550
N 0.130 0.400 0.050
N 0.139 0.130 0.079
N 0.139 0.370 0.579
N 0.482 0.196 0.649
N 0.482 0.304 0.149
N 0.490 0.646 0.283
N 0.490 0.854 0.783
N 0.510 0.146 0.217
N 0.510 0.354 0.717
N 0.518 0.696 0.851
N 0.518 0.804 0.351
N 0.861 0.630 0.421
N 0.861 0.870 0.921
N 0.870 0.600 0.950
N 0.870 0.900 0.450
N 0.929 0.749 0.041
N 0.929 0.751 0.541
F 0.059 0.104 0.393
F 0.059 0.396 0.893
F 0.072 0.095 0.925
F 0.072 0.405 0.425
F 0.100 0.747 0.264
F 0.100 0.753 0.764
F 0.109 0.050 0.210
F 0.109 0.450 0.710
F 0.195 0.080 0.705
F 0.195 0.420 0.205
F 0.300 0.642 0.037
F 0.300 0.858 0.537
F 0.459 0.008 0.136
F 0.459 0.492 0.636
F 0.462 0.534 0.869
F 0.462 0.966 0.369
F 0.463 0.720 0.693
F 0.463 0.780 0.193
F 0.486 0.157 0.981
F 0.486 0.343 0.481
F 0.514 0.657 0.519
F 0.514 0.843 0.019
F 0.537 0.220 0.807
F 0.537 0.280 0.307
F 0.538 0.034 0.631
F 0.538 0.466 0.131
F 0.541 0.508 0.364
F 0.541 0.992 0.864
F 0.700 0.142 0.463
F 0.700 0.358 0.963
F 0.805 0.580 0.795
F 0.805 0.920 0.295
F 0.891 0.550 0.290
F 0.891 0.950 0.790
F 0.900 0.247 0.236
F 0.900 0.253 0.736
F 0.928 0.595 0.575
F 0.928 0.905 0.075
F 0.941 0.604 0.107
F 0.941 0.896 0.607

Values from the calculation:
spin magnetization	0.300	Bohr magnetons per cell
formation energy from the elements	-1961	meV per atom
calculated volume	1277	Å³ per cell
calculated density	2.16	g cm⁻³
crystal system	monoclinic
ΔE to the lowest computed polymorph	5	meV per atom


(4)
DFT (GGA-PBE) results for an optimized crystal structure of PNF2.

Lattice parameters (Å, degrees): 9.006 5.587 4.989 90.00 90.00 90.00
Positions (direct):
P 0.000 0.133 0.000
P 0.000 0.867 0.500
P 0.500 0.367 0.500
P 0.500 0.633 0.000
N 0.000 0.088 0.691
N 0.000 0.912 0.191
N 0.500 0.412 0.191
N 0.500 0.588 0.691
F 0.132 0.306 0.065
F 0.132 0.694 0.565
F 0.368 0.194 0.565
F 0.368 0.806 0.065
F 0.632 0.194 0.565
F 0.632 0.806 0.065
F 0.868 0.306 0.065
F 0.868 0.694 0.565

Values from the calculation:
formation energy from the elements	-1967	meV per atom
calculated volume	251	Å³ per cell
calculated density	2.20	g cm⁻³
crystal system	orthorhombic
largest piezoelectric modulus	0.2	C/m²
ΔE to the lowest computed polymorph	0	meV per atom


(5)
DFT (GGA-PBE) results for an optimized crystal structure of PNF2.

Lattice parameters (Å, degrees): 7.623 14.954 12.116 90.00 113.71 90.00
Positions (direct):
P 0.010 0.239 0.327
P 0.010 0.261 0.827
P 0.011 0.108 0.677
P 0.011 0.392 0.177
P 0.239 0.158 0.035
P 0.239 0.342 0.535
P 0.401 0.062 0.702
P 0.401 0.438 0.202
P 0.461 0.639 0.556
P 0.461 0.861 0.056
P 0.539 0.139 0.944
P 0.539 0.361 0.444
P 0.599 0.562 0.798
P 0.599 0.938 0.298
P 0.761 0.658 0.465
P 0.761 0.842 0.965
P 0.989 0.608 0.823
P 0.989 0.892 0.323
P 0.990 0.739 0.173
P 0.990 0.761 0.673
N 0.035 0.205 0.726
N 0.035 0.295 0.226
N 0.083 0.228 0.961
N 0.083 0.272 0.461
N 0.180 0.059 0.661
N 0.180 0.441 0.161
N 0.371 0.111 0.981
N 0.371 0.389 0.481
N 0.458 0.603 0.676
N 0.458 0.897 0.176
N 0.542 0.103 0.824
N 0.542 0.397 0.324
N 0.629 0.611 0.519
N 0.629 0.889 0.019
N 0.820 0.559 0.839
N 0.820 0.941 0.339
N 0.917 0.728 0.539
N 0.917 0.772 0.039
N 0.965 0.705 0.774
N 0.965 0.795 0.274
F 0.068 0.545 0.749
F 0.068 0.955 0.249
F 0.098 0.145 0.326
F 0.098 0.355 0.826
F 0.139 0.081 0.075
F 0.139 0.419 0.575
F 0.163 0.604 0.947
F 0.163 0.896 0.447
F 0.203 0.710 0.210
F 0.203 0.790 0.710
F 0.266 0.612 0.452
F 0.266 0.888 0.952
F 0.360 0.201 0.160
F 0.360 0.299 0.660
F 0.436 0.743 0.551
F 0.436 0.757 0.051
F 0.450 0.105 0.601
F 0.450 0.395 0.101
F 0.467 0.535 0.194
F 0.467 0.965 0.694
F 0.533 0.035 0.306
F 0.533 0.465 0.806
F 0.550 0.605 0.899
F 0.550 0.895 0.399
F 0.564 0.243 0.949
F 0.564 0.257 0.449
F 0.640 0.701 0.340
F 0.640 0.799 0.840
F 0.734 0.112 0.048
F 0.734 0.388 0.548
F 0.797 0.210 0.290
F 0.797 0.290 0.790
F 0.837 0.104 0.553
F 0.837 0.396 0.053
F 0.861 0.581 0.425
F 0.861 0.919 0.925
F 0.902 0.645 0.174
F 0.902 0.855 0.674
F 0.932 0.045 0.751
F 0.932 0.455 0.251

Values from the calculation:
spin magnetization	0.000	Bohr magnetons per cell
formation energy from the elements	-1960	meV per atom
calculated volume	1265	Å³ per cell
calculated density	2.18	g cm⁻³
crystal system	monoclinic
ΔE to the lowest computed polymorph	7	meV per atom


(6)
DFT (GGA-PBE) results for an optimized crystal structure of P4SN6F6.

Lattice parameters (Å, degrees): 9.625 11.869 20.699 90.00 103.23 90.00
Positions (direct):
P 0.021 0.044 0.128
P 0.021 0.456 0.628
P 0.106 0.531 0.142
P 0.106 0.969 0.642
P 0.171 0.129 0.850
P 0.171 0.371 0.350
P 0.215 0.710 0.367
P 0.215 0.790 0.867
P 0.300 0.703 0.140
P 0.300 0.797 0.640
P 0.310 0.139 0.631
P 0.310 0.361 0.131
P 0.390 0.524 0.350
P 0.390 0.976 0.850
P 0.479 0.049 0.374
P 0.479 0.451 0.874
P 0.521 0.549 0.126
P 0.521 0.951 0.626
P 0.610 0.024 0.150
P 0.610 0.476 0.650
P 0.690 0.639 0.869
P 0.690 0.861 0.369
P 0.700 0.203 0.360
P 0.700 0.297 0.860
P 0.785 0.210 0.133
P 0.785 0.290 0.633
P 0.829 0.629 0.650
P 0.829 0.871 0.150
P 0.894 0.031 0.358
P 0.894 0.469 0.858
P 0.979 0.544 0.372
P 0.979 0.956 0.872
S 0.049 0.691 0.038
S 0.049 0.809 0.538
S 0.425 0.142 0.950
S 0.425 0.358 0.450
S 0.575 0.642 0.550
S 0.575 0.858 0.050
S 0.951 0.191 0.462
S 0.951 0.309 0.962
N 0.005 0.585 0.071
N 0.005 0.915 0.571
N 0.029 0.080 0.865
N 0.029 0.420 0.365
N 0.081 0.648 0.378
N 0.081 0.852 0.878
N 0.156 0.091 0.627
N 0.156 0.409 0.127
N 0.194 0.748 0.069
N 0.194 0.752 0.569
N 0.221 0.619 0.179
N 0.221 0.881 0.679
N 0.262 0.052 0.812
N 0.262 0.448 0.312
N 0.272 0.184 0.919
N 0.272 0.316 0.419
N 0.360 0.650 0.367
N 0.360 0.850 0.867
N 0.440 0.064 0.627
N 0.440 0.436 0.127
N 0.450 0.668 0.126
N 0.450 0.832 0.626
N 0.484 0.040 0.918
N 0.484 0.460 0.418
N 0.516 0.540 0.582
N 0.516 0.960 0.082
N 0.550 0.168 0.374
N 0.550 0.332 0.874
N 0.560 0.564 0.873
N 0.560 0.936 0.373
N 0.640 0.150 0.133
N 0.640 0.350 0.633
N 0.728 0.684 0.581
N 0.728 0.816 0.081
N 0.738 0.552 0.688
N 0.738 0.948 0.188
N 0.779 0.119 0.321
N 0.779 0.381 0.821
N 0.806 0.248 0.431
N 0.806 0.252 0.931
N 0.844 0.591 0.873
N 0.844 0.909 0.373
N 0.919 0.148 0.122
N 0.919 0.352 0.622
N 0.971 0.580 0.635
N 0.971 0.920 0.135
N 0.995 0.085 0.429
N 0.995 0.415 0.929
F 0.006 0.015 0.315
F 0.006 0.485 0.815
F 0.091 0.048 0.067
F 0.091 0.452 0.567
F 0.125 0.236 0.807
F 0.125 0.264 0.307
F 0.156 0.067 0.185
F 0.156 0.433 0.685
F 0.172 0.714 0.804
F 0.172 0.786 0.304
F 0.250 0.695 0.920
F 0.250 0.805 0.420
F 0.294 0.231 0.576
F 0.294 0.269 0.076
F 0.330 0.685 0.681
F 0.330 0.815 0.181
F 0.341 0.047 0.317
F 0.341 0.453 0.817
F 0.354 0.216 0.694
F 0.354 0.284 0.194
F 0.408 0.047 0.435
F 0.408 0.453 0.935
F 0.498 0.031 0.194
F 0.498 0.469 0.694
F 0.502 0.531 0.306
F 0.502 0.969 0.806
F 0.592 0.547 0.065
F 0.592 0.953 0.565
F 0.646 0.716 0.806
F 0.646 0.784 0.306
F 0.659 0.547 0.183
F 0.659 0.953 0.683
F 0.670 0.185 0.819
F 0.670 0.315 0.319
F 0.706 0.731 0.924
F 0.706 0.769 0.424
F 0.750 0.195 0.580
F 0.750 0.305 0.080
F 0.828 0.214 0.696
F 0.828 0.286 0.196
F 0.844 0.567 0.315
F 0.844 0.933 0.815
F 0.875 0.736 0.693
F 0.875 0.764 0.193
F 0.909 0.548 0.433
F 0.909 0.952 0.933
F 0.994 0.515 0.185
F 0.994 0.985 0.685

Values from the calculation:
spin magnetization	0.000	Bohr magnetons per cell
formation energy from the elements	-1345	meV per atom
calculated volume	2302	Å³ per cell
calculated density	2.04	g cm⁻³
crystal system	monoclinic